1.
Computed, not measured: a geometry-optimized Ag2Te2O7 structure at the r²SCAN level of DFT.

Output
- Theoretical density: 6.88 g/cm³
- E_tot: -13.119 eV per atom
- Energy of formation from the pure elements: -8.96 eV/f.u.

Geometry as POSCAR:
```
Ag2Te2O7
1.0
-3.6433 5.1103 3.7790
3.6433 -5.1103 3.7790
3.6433 5.1103 -3.7790
Ag Te O
4 4 14
Cartesian
0.0000 0.0000 0.0000
-1.8216 2.5552 1.8895
0.0000 5.1103 0.0000
1.8216 2.5552 1.8895
1.8216 2.5552 -1.8895
1.8216 -2.5552 1.8895
3.6433 0.0000 0.0000
0.0000 0.0000 3.7790
2.1715 1.2313 -0.5502
5.1150 1.2313 -0.5502
3.6433 -2.5552 2.5642
3.6433 0.8544 1.6514
2.1715 3.8790 -0.5502
1.4717 -1.2313 3.2288
0.0000 0.8544 2.1276
3.6433 4.2560 1.6514
2.1715 6.3416 0.5502
1.4717 1.2313 4.3292
0.0000 4.2560 2.1276
0.0000 7.6655 1.2147
-1.4717 3.8790 4.3292
1.4717 3.8790 4.3292
```

2.
Computed, not measured: a geometry-optimized Ag2Te4O11 structure at the r²SCAN level of DFT.

Output
- Theoretical density: 6.71 g/cm³
- E_tot: -13.287 eV per atom
- Energy of formation from the pure elements: -15.80 eV/f.u.

Geometry as POSCAR:
```
Ag2Te4O11
1.0
7.2863 0.0000 0.0000
-3.6301 6.4334 0.0000
-0.6292 -1.4117 9.5283
Ag Te O
4 8 22
Cartesian
-1.2185 1.8633 1.4061
0.5651 0.7196 4.6468
2.4619 4.3021 4.8815
4.2455 3.1584 8.1222
-1.1785 0.0048 7.9015
-1.2699 3.8948 4.7545
0.5639 3.2858 7.7193
2.3746 0.0900 7.7523
0.6524 4.9317 1.7760
2.4631 1.7359 1.8090
4.2969 1.1269 4.7738
4.2055 5.0169 1.6268
-2.7020 4.6626 3.4506
-1.2857 2.2676 3.7982
0.6542 -0.3573 7.0506
-0.7810 2.0312 8.1827
1.0184 0.5378 2.2100
-1.0847 4.5449 1.1485
-0.8916 4.6100 7.6035
1.5707 -0.2371 9.4904
0.3516 2.9549 5.8528
1.0260 3.0303 1.5904
0.1957 4.6758 3.6276
2.8313 0.3459 5.9007
2.0009 1.9914 7.9379
2.6754 2.0667 3.6755
1.4563 5.2587 0.0379
3.9185 0.4117 1.9247
4.1117 0.4768 8.3797
2.0086 4.4839 7.3183
3.8080 2.9905 1.3456
2.3728 5.3790 2.4776
4.3127 2.7541 5.7301
5.7290 0.3591 6.0777
```